Material: TmMgAu2
Method: DFT, GGA-PBE
State: optimized geometry

a = 4.869 Å, b = 4.869 Å, c = 4.869 Å
α = 60.00°, β = 60.00°, γ = 60.00°
Fractional coordinates of all 4 atoms:
Au 0.750 0.750 0.750
Au 0.250 0.250 0.250
Tm 0.000 0.000 0.000
Mg 0.500 0.500 0.500

Results
Total energy = -3.95 eV/atom
Space-group type = Fm-3m (225)
Energy relative to the elements = -792 meV/atom